This record from the Materials Project describes a geometry-optimized Dy2PdRu structure. The functional is PBE-GGA.

a = 6.9154 Å, b = 6.9154 Å, c = 6.9154 Å
α = 90.00°, β = 90.00°, γ = 90.00°
Last column: nearest neighbours and their distance in Å.
Space group Fm-3m (No. 225)
Unique sites:
Dy (0.2500, 0.2500, 0.2500)  4 Ru 2.99, 4 Pd 2.99
Pd (0.0000, 0.0000, 0.0000)  8 Dy 2.99
Ru (0.0000, 0.0000, 0.5000)  8 Dy 2.99

Output
E_form, eV/atom: -0.65